Record 1
VASP calculation (r2SCAN) on a relaxed DyHoHg2 crystal.

Calculated values
- E_form (eV/f.u.) = -2.324
- spin magnetization (μB/atom) = 0.000
- symmetry = Fm-3m (225)

Cell: 5.209 5.209 5.209 Å, 60.00 60.00 60.00°
Element x y z (fractional)
Dy 0.000 0.000 0.000
Ho 0.500 0.500 0.500
Hg 0.250 0.250 0.250
Hg 0.750 0.750 0.750


Record 2
VASP calculation (r2SCAN) on a relaxed LiDyHg2 crystal.

Calculated values
- E_form (eV/f.u.) = -2.040
- spin magnetization (μB/atom) = 0.000
- symmetry = Fm-3m (225)

Cell: 4.977 4.977 4.977 Å, 60.00 60.00 60.00°
Element x y z (fractional)
Li 0.000 0.000 0.000
Dy 0.500 0.500 0.500
Hg 0.250 0.250 0.250
Hg 0.750 0.750 0.750


Record 3
VASP calculation (r2SCAN) on a relaxed DyLuHg2 crystal.

Calculated values
- E_form (eV/f.u.) = -2.265
- spin magnetization (μB/atom) = 0.000
- symmetry = Fm-3m (225)

Cell: 5.164 5.164 5.164 Å, 60.00 60.00 60.00°
Element x y z (fractional)
Dy 0.000 0.000 0.000
Lu 0.500 0.500 0.500
Hg 0.250 0.250 0.250
Hg 0.750 0.750 0.750